[1]
The following is a DFT calculation (r2SCAN) of an optimized crystal structure of PrPb3.

Geometry as POSCAR:
```
PrPb3
1.0
4.926 0.000 0.000
0.000 4.926 0.000
0.000 0.000 4.926
Pr Pb
1 3
direct
0.000 0.000 0.000
0.000 0.500 0.500
0.500 0.000 0.500
0.500 0.500 0.000
```

Uncorrected energy (eV per cell): -200.2
DFT formation energy (eV per atom): -0.4816
V (Å³/atom): 29.9

---

[2]
The following is a DFT calculation (r2SCAN) of an optimized crystal structure of Pr3Pb.

Geometry as POSCAR:
```
Pr3Pb
1.0
5.018 0.000 0.000
0.000 5.018 0.000
0.000 0.000 5.018
Pr Pb
3 1
direct
0.000 0.000 0.500
0.000 0.500 0.000
0.500 0.000 0.000
0.500 0.500 0.500
```

Uncorrected energy (eV per cell): -146.2
DFT formation energy (eV per atom): -0.4286
V (Å³/atom): 31.6